Record 1
{
  "formula": "CuC4O8",
  "functional": "PBE-GGA",
  "state": "relaxed",
  "final_energy_ev_per_atom": -7.079,
  "formation_energy_mev_per_atom": -1302,
  "magmom_total_mub_per_cell": 2.0,
  "lattice": [[8.434, 0.000, 0.000], [0.000, 8.281, 0.000], [0.000, 3.417, 7.753]],
  "species": ["O", "C", "C", "Cu", "O", "C", "O", "O", "O", "Cu", "O", "C", "O", "O", "O", "O", "O", "O", "C", "C", "C", "O", "C", "O", "O", "O"],
  "fractional_positions": [[0.927, 0.442, 0.250], [0.799, 0.460, 0.308], [0.089, 0.027, 0.181], [0.000, 0.500, 0.000], [0.599, 0.124, 0.230], [0.589, 0.973, 0.319], [0.078, 0.178, 0.091], [0.578, 0.822, 0.409], [0.231, 0.549, 0.062], [0.500, 0.500, 0.500], [0.769, 0.451, 0.938], [0.201, 0.540, 0.692], [0.073, 0.558, 0.750], [0.731, 0.451, 0.438], [0.573, 0.442, 0.750], [0.422, 0.178, 0.591], [0.901, 0.124, 0.730], [0.427, 0.558, 0.250], [0.701, 0.460, 0.808], [0.411, 0.027, 0.681], [0.911, 0.973, 0.819], [0.922, 0.822, 0.909], [0.299, 0.540, 0.192], [0.099, 0.876, 0.270], [0.269, 0.549, 0.562], [0.401, 0.876, 0.770]]
}

---

Record 2
{
  "formula": "Cs2CuBr4",
  "functional": "PBE-GGA",
  "state": "relaxed",
  "final_energy_ev_per_atom": -2.958,
  "formation_energy_mev_per_atom": -1486,
  "lattice": [[0.000, -8.216, 0.000], [-10.426, 0.000, 0.000], [0.000, 0.000, -13.128]],
  "species": ["Br", "Cs", "Cu", "Br", "Br", "Br", "Br", "Br", "Cu", "Cs", "Cs", "Cs", "Cu", "Br", "Br", "Br", "Br", "Cs", "Cs", "Br", "Cu", "Br", "Br", "Br", "Cs", "Cs", "Br", "Br"],
  "fractional_positions": [[0.750, 0.657, 0.422], [0.750, 0.374, 0.604], [0.250, 0.731, 0.083], [0.750, 0.157, 0.078], [0.250, 0.004, 0.381], [0.486, 0.706, 0.643], [0.986, 0.794, 0.143], [0.514, 0.794, 0.143], [0.750, 0.769, 0.583], [0.250, 0.126, 0.104], [0.250, 0.004, 0.669], [0.750, 0.996, 0.331], [0.750, 0.269, 0.917], [0.014, 0.206, 0.857], [0.014, 0.706, 0.643], [0.250, 0.504, 0.119], [0.250, 0.843, 0.922], [0.750, 0.496, 0.169], [0.750, 0.874, 0.896], [0.750, 0.996, 0.619], [0.250, 0.231, 0.417], [0.514, 0.294, 0.357], [0.986, 0.294, 0.357], [0.750, 0.496, 0.881], [0.250, 0.504, 0.831], [0.250, 0.626, 0.396], [0.486, 0.206, 0.857], [0.250, 0.343, 0.578]]
}

---

Record 3
{
  "formula": "Eu3Ge13Os4",
  "functional": "PBE-GGA",
  "state": "relaxed",
  "final_energy_ev_per_atom": -7.041,
  "formation_energy_mev_per_atom": -252,
  "magmom_total_mub_per_cell": 39.8,
  "lattice": [[9.183, 0.000, 0.000], [0.000, 9.183, 0.000], [0.000, 0.000, 9.183]],
  "species": ["Ge", "Ge", "Ge", "Os", "Os", "Ge", "Ge", "Ge", "Os", "Ge", "Ge", "Ge", "Os", "Eu", "Ge", "Ge", "Ge", "Ge", "Ge", "Os", "Ge", "Eu", "Os", "Ge", "Os", "Ge", "Ge", "Eu", "Ge", "Ge", "Ge", "Eu", "Eu", "Ge", "Ge", "Os", "Ge", "Eu", "Ge", "Ge"],
  "fractional_positions": [[0.645, 0.500, 0.792], [0.645, 0.500, 0.208], [0.500, 0.208, 0.645], [0.750, 0.750, 0.250], [0.250, 0.750, 0.750], [0.355, 0.500, 0.792], [0.500, 0.792, 0.645], [0.292, 0.000, 0.145], [0.250, 0.750, 0.250], [0.000, 0.000, 0.000], [0.792, 0.645, 0.500], [0.500, 0.500, 0.500], [0.750, 0.250, 0.750], [0.750, 0.000, 0.500], [0.208, 0.645, 0.500], [0.145, 0.708, 0.000], [0.292, 0.000, 0.855], [0.708, 0.000, 0.145], [0.355, 0.500, 0.208], [0.250, 0.250, 0.750], [0.000, 0.855, 0.708], [0.500, 0.250, 0.000], [0.750, 0.750, 0.750], [0.855, 0.708, 0.000], [0.250, 0.250, 0.250], [0.855, 0.292, 0.000], [0.000, 0.855, 0.292], [0.500, 0.750, 0.000], [0.000, 0.145, 0.708], [0.145, 0.292, 0.000], [0.500, 0.208, 0.355], [0.250, 0.000, 0.500], [0.000, 0.500, 0.250], [0.500, 0.792, 0.355], [0.792, 0.355, 0.500], [0.750, 0.250, 0.250], [0.208, 0.355, 0.500], [0.000, 0.500, 0.750], [0.000, 0.145, 0.292], [0.708, 0.000, 0.855]]
}

---

Record 4
{
  "formula": "CeSe2",
  "functional": "PBE-GGA",
  "state": "relaxed",
  "final_energy_ev_per_atom": -5.408,
  "formation_energy_mev_per_atom": -1415,
  "magmom_total_mub_per_cell": 0.0,
  "lattice": [[-0.039, 0.045, -8.914], [-22.554, -0.017, -2.283], [-0.405, 22.542, -2.305]],
  "species": ["Se", "Se", "Ce", "Ce", "Ce", "Ce", "Se", "Se", "Se", "Ce", "Se", "Se", "Se", "Se", "Ce", "Ce", "Se", "Se", "Ce", "Ce", "Se", "Ce", "Se", "Se", "Se", "Se", "Se", "Se", "Se", "Se", "Ce", "Se", "Se", "Se", "Ce", "Ce", "Se", "Ce", "Se", "Se", "Se", "Ce", "Se", "Se", "Ce", "Se", "Se", "Se"],
  "fractional_positions": [[0.014, 0.326, 0.670], [0.936, 0.464, 0.821], [0.135, 0.396, 0.745], [0.790, 0.899, 0.250], [0.040, 0.060, 0.560], [0.864, 0.754, 0.104], [0.610, 0.966, 0.178], [0.679, 0.537, 0.325], [0.312, 0.978, 0.022], [0.962, 0.439, 0.939], [0.365, 0.174, 0.674], [0.688, 0.022, 0.978], [0.635, 0.826, 0.326], [0.937, 0.321, 0.964], [0.585, 0.561, 0.442], [0.136, 0.246, 0.896], [0.610, 0.678, 0.466], [0.312, 0.522, 0.478], [0.865, 0.604, 0.255], [0.960, 0.940, 0.440], [0.202, 0.482, 0.982], [0.210, 0.101, 0.750], [0.322, 0.175, 0.962], [0.678, 0.825, 0.038], [0.064, 0.536, 0.179], [0.798, 0.518, 0.018], [0.015, 0.170, 0.827], [0.067, 0.035, 0.678], [0.688, 0.478, 0.522], [0.798, 0.018, 0.518], [0.415, 0.439, 0.558], [0.390, 0.322, 0.534], [0.063, 0.679, 0.036], [0.321, 0.463, 0.675], [0.415, 0.058, 0.938], [0.038, 0.561, 0.061], [0.985, 0.830, 0.173], [0.790, 0.750, 0.399], [0.986, 0.674, 0.330], [0.933, 0.822, 0.465], [0.390, 0.034, 0.822], [0.210, 0.250, 0.601], [0.202, 0.982, 0.482], [0.067, 0.178, 0.535], [0.585, 0.942, 0.062], [0.715, 0.675, 0.176], [0.933, 0.965, 0.322], [0.285, 0.325, 0.824]]
}

---

Record 5
{
  "formula": "In4Se3",
  "functional": "PBE-GGA",
  "state": "relaxed",
  "final_energy_ev_per_atom": -3.481,
  "formation_energy_mev_per_atom": -613,
  "lattice": [[4.179, 0.000, 0.000], [0.000, 12.571, 0.000], [0.000, 0.000, 15.594]],
  "species": ["Se", "In", "Se", "In", "In", "In", "In", "Se", "In", "In", "In", "In", "In", "In", "Se", "In", "In", "In", "Se", "Se", "Se", "In", "Se", "Se", "Se", "In", "Se", "Se"],
  "fractional_positions": [[0.500, 0.637, 0.731], [0.000, 0.645, 0.968], [0.000, 0.863, 0.231], [0.500, 0.855, 0.468], [0.000, 0.338, 0.710], [0.000, 0.475, 0.185], [0.500, 0.975, 0.315], [0.000, 0.849, 0.904], [0.500, 0.162, 0.210], [0.500, 0.838, 0.790], [0.500, 0.105, 0.923], [0.000, 0.395, 0.423], [0.000, 0.525, 0.815], [0.000, 0.355, 0.032], [0.000, 0.137, 0.769], [0.000, 0.605, 0.577], [0.500, 0.895, 0.077], [0.000, 0.662, 0.290], [0.500, 0.349, 0.596], [0.500, 0.651, 0.404], [0.500, 0.363, 0.269], [0.500, 0.145, 0.532], [0.500, 0.656, 0.076], [0.000, 0.151, 0.096], [0.000, 0.156, 0.424], [0.500, 0.025, 0.685], [0.500, 0.344, 0.924], [0.000, 0.844, 0.576]]
}

---

Record 6
{
  "formula": "TaO3",
  "functional": "PBE-GGA",
  "state": "relaxed",
  "final_energy_ev_per_atom": -8.941,
  "de_polymorph_ev_per_atom": 0.0032,
  "formation_energy_mev_per_atom": -2781,
  "magmom_total_mub_per_cell": 4.0,
  "lattice": [[2.015, 4.313, 4.925], [-6.623, -1.519, 0.864], [3.721, -5.742, 0.330]],
  "species": ["Ta", "O", "O", "O", "Ta", "O", "O", "O", "O", "O", "O", "O", "O", "Ta", "O", "Ta"],
  "fractional_positions": [[0.500, 0.500, 0.500], [0.500, 0.744, 0.756], [0.256, 0.244, 0.500], [0.244, 0.500, 0.256], [0.000, 0.500, 0.000], [0.256, 0.756, 0.012], [0.244, 0.988, 0.744], [0.744, 0.244, 0.988], [0.744, 0.756, 0.500], [0.500, 0.256, 0.244], [0.012, 0.256, 0.756], [0.756, 0.012, 0.256], [0.756, 0.500, 0.744], [0.000, 0.000, 0.500], [0.988, 0.744, 0.244], [0.500, 0.000, 0.000]]
}

---

Record 7
{
  "formula": "KZnPC2O6",
  "functional": "PBE-GGA",
  "state": "relaxed",
  "final_energy_ev_per_atom": -6.586,
  "formation_energy_mev_per_atom": -1876,
  "magmom_total_mub_per_cell": 0.0,
  "lattice": [[5.218, 0.000, 0.000], [0.000, 10.706, 0.000], [0.000, 0.000, 12.332]],
  "species": ["O", "O", "O", "K", "O", "O", "O", "O", "P", "C", "O", "O", "O", "Zn", "Zn", "K", "O", "O", "K", "C", "C", "C", "O", "O", "C", "O", "Zn", "P", "K", "O", "P", "O", "C", "O", "O", "Zn", "O", "O", "P", "C", "C", "O", "O", "O"],
  "fractional_positions": [[0.452, 0.829, 0.001], [0.014, 0.851, 0.907], [0.071, 0.413, 0.391], [0.133, 0.143, 0.757], [0.589, 0.916, 0.477], [0.952, 0.671, 0.501], [0.089, 0.584, 0.977], [0.831, 0.456, 0.810], [0.658, 0.171, 0.986], [0.153, 0.617, 0.169], [0.331, 0.544, 0.190], [0.571, 0.587, 0.609], [0.014, 0.351, 0.593], [0.155, 0.596, 0.382], [0.155, 0.096, 0.118], [0.133, 0.643, 0.743], [0.589, 0.416, 0.023], [0.514, 0.649, 0.407], [0.633, 0.357, 0.257], [0.653, 0.383, 0.831], [0.616, 0.341, 0.949], [0.616, 0.841, 0.551], [0.071, 0.913, 0.109], [0.571, 0.087, 0.891], [0.653, 0.883, 0.669], [0.001, 0.665, 0.241], [0.655, 0.404, 0.618], [0.158, 0.329, 0.486], [0.633, 0.857, 0.243], [0.452, 0.329, 0.499], [0.658, 0.671, 0.514], [0.501, 0.835, 0.741], [0.116, 0.159, 0.449], [0.501, 0.335, 0.759], [0.331, 0.044, 0.310], [0.655, 0.904, 0.882], [0.514, 0.149, 0.093], [0.831, 0.956, 0.690], [0.158, 0.829, 0.014], [0.153, 0.117, 0.331], [0.116, 0.659, 0.051], [0.001, 0.165, 0.259], [0.952, 0.171, 0.999], [0.089, 0.084, 0.523]]
}

---

Record 8
{
  "formula": "LaCd3",
  "functional": "PBE-GGA",
  "state": "relaxed",
  "final_energy_ev_per_atom": -2.253,
  "formation_energy_mev_per_atom": -327,
  "lattice": [[0.000, 3.722, 3.722], [3.722, 0.000, 3.722], [3.722, 3.722, 0.000]],
  "species": ["Cd", "Cd", "La", "Cd"],
  "fractional_positions": [[0.750, 0.750, 0.750], [0.250, 0.250, 0.250], [0.500, 0.500, 0.500], [0.000, 0.000, 0.000]]
}

---

Record 9
{
  "formula": "Tb8Rh5C12",
  "functional": "PBE-GGA",
  "state": "relaxed",
  "final_energy_ev_per_atom": -7.768,
  "formation_energy_mev_per_atom": -382,
  "magmom_total_mub_per_cell": 0.1,
  "lattice": [[0.562, -3.179, -1.563], [2.014, 3.449, -6.291], [12.750, 1.374, 5.902]],
  "species": ["Tb", "Tb", "C", "Tb", "C", "C", "C", "Tb", "C", "C", "C", "C", "Tb", "Tb", "Rh", "C", "Rh", "Tb", "Rh", "C", "Tb", "C", "Rh", "C", "Rh"],
  "fractional_positions": [[0.706, 0.116, 0.412], [0.699, 0.609, 0.399], [0.159, 0.875, 0.318], [0.412, 0.172, 0.824], [0.023, 0.756, 0.045], [0.168, 0.347, 0.336], [0.952, 0.385, 0.904], [0.294, 0.884, 0.588], [0.841, 0.125, 0.682], [0.048, 0.615, 0.096], [0.793, 0.131, 0.586], [0.832, 0.653, 0.664], [0.301, 0.391, 0.601], [0.453, 0.703, 0.906], [0.890, 0.509, 0.781], [0.784, 0.635, 0.568], [0.117, 0.128, 0.234], [0.588, 0.828, 0.176], [0.110, 0.491, 0.219], [0.216, 0.365, 0.432], [0.547, 0.297, 0.094], [0.207, 0.869, 0.414], [0.883, 0.872, 0.766], [0.977, 0.244, 0.955], [0.000, 0.000, 0.000]]
}